No. 1
## La2CuSn4 (GGA-PBE)

Data for crystalline La2CuSn4 at its relaxed geometry.

Computed properties:
Formation energy from the elements in meV/atom: -604
Space group: Amm2

The structure in CIF format:
```
data_La2CuSn4
_chemical_formula_sum 'La2 Cu1 Sn4'
_space_group_name_H-M_alt 'P 1'
_space_group_IT_number 1
_cell_length_a 4.571
_cell_length_b 4.653
_cell_length_c 9.192
_cell_angle_alpha 75.34
_cell_angle_beta 90.00
_cell_angle_gamma 90.00
loop_
_space_group_symop_operation_xyz
'x,y,z'
loop_
_atom_site_label
_atom_site_type_symbol
_atom_site_fract_x
_atom_site_fract_y
_atom_site_fract_z
_atom_site_occupancy
Sn1 Sn 0.750 0.444 0.113 1
Sn2 Sn 0.750 0.768 0.463 1
Sn3 Sn 0.250 0.268 0.464 1
Sn4 Sn 0.250 0.550 0.900 1
Cu1 Cu 0.250 0.694 0.612 1
La1 La 0.750 0.111 0.778 1
La2 La 0.250 0.905 0.190 1
```

=====

No. 2
## SrLaNdCu2O6 (GGA-PBE)

Data for crystalline SrLaNdCu2O6 at its relaxed geometry.

Computed properties:
Formation energy from the elements in meV/atom: -2618
Space group: I4mm

The structure in CIF format:
```
data_SrLaNdCu2O6
_chemical_formula_sum 'Sr1 La1 Nd1 Cu2 O6'
_space_group_name_H-M_alt 'P 1'
_space_group_IT_number 1
_cell_length_a 10.348
_cell_length_b 10.348
_cell_length_c 10.348
_cell_angle_alpha 158.43
_cell_angle_beta 158.43
_cell_angle_gamma 30.69
loop_
_space_group_symop_operation_xyz
'x,y,z'
loop_
_atom_site_label
_atom_site_type_symbol
_atom_site_fract_x
_atom_site_fract_y
_atom_site_fract_z
_atom_site_occupancy
O1 O 0.923 0.423 0.500 1
O2 O 0.580 0.080 0.500 1
O3 O 0.293 0.293 0.000 1
O4 O 0.699 0.699 0.000 1
O5 O 0.423 0.923 0.500 1
O6 O 0.080 0.580 0.500 1
Sr1 Sr 0.821 0.821 0.000 1
Cu1 Cu 0.410 0.410 0.000 1
Cu2 Cu 0.588 0.588 0.000 1
La1 La 0.182 0.182 0.000 1
Nd1 Nd 0.999 0.999 0.000 1
```

=====

No. 3
## Rb2ZnH12S2O14 (GGA-PBE)

Data for crystalline Rb2ZnH12S2O14 at its relaxed geometry.

Computed properties:
Formation energy from the elements in meV/atom: -1631
Space group: P2_1/c

The structure in CIF format:
```
data_Rb2ZnH12S2O14
_chemical_formula_sum 'Rb4 Zn2 H24 S4 O28'
_space_group_name_H-M_alt 'P 1'
_space_group_IT_number 1
_cell_length_a 12.615
_cell_length_b 6.324
_cell_length_c 9.227
_cell_angle_alpha 74.49
_cell_angle_beta 90.00
_cell_angle_gamma 90.00
loop_
_space_group_symop_operation_xyz
'x,y,z'
loop_
_atom_site_label
_atom_site_type_symbol
_atom_site_fract_x
_atom_site_fract_y
_atom_site_fract_z
_atom_site_occupancy
Zn1 Zn 0.000 0.000 0.000 1
Zn2 Zn 0.500 0.000 0.500 1
H1 H 0.096 0.680 0.215 1
H2 H 0.939 0.664 0.901 1
H3 H 0.099 0.072 0.724 1
H4 H 0.904 0.320 0.785 1
H5 H 0.687 0.993 0.649 1
H6 H 0.813 0.993 0.149 1
H7 H 0.187 0.007 0.851 1
H8 H 0.061 0.336 0.099 1
H9 H 0.599 0.928 0.776 1
H10 H 0.596 0.320 0.285 1
H11 H 0.561 0.664 0.401 1
H12 H 0.129 0.913 0.243 1
H13 H 0.643 0.680 0.527 1
H14 H 0.901 0.928 0.276 1
H15 H 0.871 0.087 0.757 1
H16 H 0.143 0.320 0.973 1
H17 H 0.401 0.072 0.224 1
H18 H 0.371 0.913 0.743 1
H19 H 0.629 0.087 0.257 1
H20 H 0.439 0.336 0.599 1
H21 H 0.404 0.680 0.715 1
H22 H 0.313 0.007 0.351 1
H23 H 0.357 0.320 0.473 1
H24 H 0.857 0.680 0.027 1
O1 O 0.115 0.835 0.165 1
O2 O 0.764 0.594 0.587 1
O3 O 0.887 0.026 0.174 1
O4 O 0.922 0.775 0.457 1
O5 O 0.236 0.406 0.413 1
O6 O 0.264 0.406 0.913 1
O7 O 0.885 0.165 0.835 1
O8 O 0.926 0.608 0.726 1
O9 O 0.578 0.775 0.957 1
O10 O 0.385 0.835 0.665 1
O11 O 0.422 0.225 0.043 1
O12 O 0.574 0.608 0.226 1
O13 O 0.074 0.392 0.274 1
O14 O 0.736 0.594 0.087 1
O15 O 0.426 0.392 0.774 1
O16 O 0.387 0.974 0.326 1
O17 O 0.433 0.298 0.502 1
O18 O 0.678 0.944 0.126 1
O19 O 0.178 0.056 0.374 1
O20 O 0.078 0.225 0.543 1
O21 O 0.615 0.165 0.335 1
O22 O 0.567 0.702 0.498 1
O23 O 0.113 0.974 0.826 1
O24 O 0.322 0.056 0.874 1
O25 O 0.822 0.944 0.626 1
O26 O 0.933 0.702 0.998 1
O27 O 0.067 0.298 0.002 1
O28 O 0.613 0.026 0.674 1
Rb1 Rb 0.648 0.348 0.869 1
Rb2 Rb 0.148 0.652 0.631 1
Rb3 Rb 0.852 0.348 0.369 1
Rb4 Rb 0.352 0.652 0.131 1
S1 S 0.359 0.268 0.902 1
S2 S 0.141 0.268 0.402 1
S3 S 0.641 0.732 0.098 1
S4 S 0.859 0.732 0.598 1
```

=====

No. 4
## Na2TbPCO7 (GGA-PBE)

Data for crystalline Na2TbPCO7 at its relaxed geometry.

Computed properties:
Formation energy from the elements in meV/atom: -2761
Space group: P2_1/m

The structure in CIF format:
```
data_Na2TbPCO7
_chemical_formula_sum 'Na4 Tb2 P2 C2 O14'
_space_group_name_H-M_alt 'P 1'
_space_group_IT_number 1
_cell_length_a 7.016
_cell_length_b 5.228
_cell_length_c 9.248
_cell_angle_alpha 88.96
_cell_angle_beta 90.00
_cell_angle_gamma 90.00
loop_
_space_group_symop_operation_xyz
'x,y,z'
loop_
_atom_site_label
_atom_site_type_symbol
_atom_site_fract_x
_atom_site_fract_y
_atom_site_fract_z
_atom_site_occupancy
O1 O 0.250 0.299 0.935 1
O2 O 0.750 0.222 0.584 1
O3 O 0.250 0.464 0.160 1
O4 O 0.931 0.183 0.346 1
O5 O 0.250 0.042 0.135 1
O6 O 0.069 0.817 0.654 1
O7 O 0.750 0.592 0.406 1
O8 O 0.750 0.701 0.065 1
O9 O 0.250 0.778 0.416 1
O10 O 0.750 0.958 0.865 1
O11 O 0.569 0.183 0.346 1
O12 O 0.431 0.817 0.654 1
O13 O 0.750 0.536 0.840 1
O14 O 0.250 0.408 0.594 1
Na1 Na 0.002 0.230 0.791 1
Na2 Na 0.498 0.230 0.791 1
Na3 Na 0.502 0.770 0.209 1
Na4 Na 0.998 0.770 0.209 1
Tb1 Tb 0.750 0.774 0.630 1
Tb2 Tb 0.250 0.226 0.370 1
P1 P 0.250 0.706 0.583 1
P2 P 0.750 0.294 0.417 1
C1 C 0.750 0.732 0.929 1
C2 C 0.250 0.268 0.071 1
```

=====

No. 5
## Mg2TaCuO6 (GGA-PBE)

Data for crystalline Mg2TaCuO6 at its relaxed geometry.

Computed properties:
Formation energy from the elements in meV/atom: -2505
Space group: P2_1/m

The structure in CIF format:
```
data_Mg2TaCuO6
_chemical_formula_sum 'Mg4 Ta2 Cu2 O12'
_space_group_name_H-M_alt 'P 1'
_space_group_IT_number 1
_cell_length_a 7.517
_cell_length_b 5.162
_cell_length_c 5.438
_cell_angle_alpha 86.51
_cell_angle_beta 90.00
_cell_angle_gamma 90.00
loop_
_space_group_symop_operation_xyz
'x,y,z'
loop_
_atom_site_label
_atom_site_type_symbol
_atom_site_fract_x
_atom_site_fract_y
_atom_site_fract_z
_atom_site_occupancy
Cu1 Cu 0.000 0.500 0.000 1
Cu2 Cu 0.500 0.500 0.000 1
O1 O 0.435 0.182 0.182 1
O2 O 0.071 0.306 0.675 1
O3 O 0.750 0.367 0.936 1
O4 O 0.935 0.818 0.818 1
O5 O 0.250 0.633 0.064 1
O6 O 0.429 0.306 0.675 1
O7 O 0.929 0.694 0.325 1
O8 O 0.065 0.182 0.182 1
O9 O 0.571 0.694 0.325 1
O10 O 0.565 0.818 0.818 1
O11 O 0.750 0.136 0.449 1
O12 O 0.250 0.864 0.551 1
Mg1 Mg 0.750 0.973 0.051 1
Mg2 Mg 0.750 0.506 0.572 1
Mg3 Mg 0.250 0.027 0.949 1
Mg4 Mg 0.250 0.494 0.428 1
Ta1 Ta 0.000 0.000 0.500 1
Ta2 Ta 0.500 0.000 0.500 1
```

=====

No. 6
## SiO2 (GGA-PBE)

Data for crystalline SiO2 at its relaxed geometry.

Computed properties:
Formation energy from the elements in meV/atom: -3100
Space group: P4_12_12

The structure in CIF format:
```
data_SiO2
_chemical_formula_sum 'Si12 O24'
_space_group_name_H-M_alt 'P 1'
_space_group_IT_number 1
_cell_length_a 9.823
_cell_length_b 9.823
_cell_length_c 9.906
_cell_angle_alpha 90.00
_cell_angle_beta 90.00
_cell_angle_gamma 90.00
loop_
_space_group_symop_operation_xyz
'x,y,z'
loop_
_atom_site_label
_atom_site_type_symbol
_atom_site_fract_x
_atom_site_fract_y
_atom_site_fract_z
_atom_site_occupancy
O1 O 0.850 0.716 0.386 1
O2 O 0.248 0.401 0.102 1
O3 O 0.515 0.019 0.750 1
O4 O 0.752 0.599 0.602 1
O5 O 0.216 0.650 0.136 1
O6 O 0.401 0.248 0.898 1
O7 O 0.650 0.216 0.864 1
O8 O 0.019 0.515 0.250 1
O9 O 0.150 0.284 0.886 1
O10 O 0.901 0.252 0.852 1
O11 O 0.099 0.748 0.352 1
O12 O 0.284 0.150 0.114 1
O13 O 0.252 0.901 0.148 1
O14 O 0.015 0.481 0.000 1
O15 O 0.481 0.015 0.000 1
O16 O 0.981 0.485 0.750 1
O17 O 0.599 0.752 0.398 1
O18 O 0.350 0.784 0.364 1
O19 O 0.784 0.350 0.636 1
O20 O 0.485 0.981 0.250 1
O21 O 0.716 0.850 0.614 1
O22 O 0.748 0.099 0.648 1
O23 O 0.985 0.519 0.500 1
O24 O 0.519 0.985 0.500 1
Si1 Si 0.125 0.511 0.122 1
Si2 Si 0.875 0.489 0.622 1
Si3 Si 0.489 0.875 0.378 1
Si4 Si 0.229 0.771 0.250 1
Si5 Si 0.625 0.989 0.628 1
Si6 Si 0.771 0.229 0.750 1
Si7 Si 0.729 0.729 0.500 1
Si8 Si 0.375 0.011 0.128 1
Si9 Si 0.011 0.375 0.872 1
Si10 Si 0.271 0.271 0.000 1
Si11 Si 0.989 0.625 0.372 1
Si12 Si 0.511 0.125 0.878 1
```

=====

No. 7
## AcClO (GGA-PBE)

Data for crystalline AcClO at its relaxed geometry.

Computed properties:
Formation energy from the elements in meV/atom: -3382
Space group: P4/nmm

The structure in CIF format:
```
data_AcClO
_chemical_formula_sum 'Ac2 Cl2 O2'
_space_group_name_H-M_alt 'P 1'
_space_group_IT_number 1
_cell_length_a 4.273
_cell_length_b 4.273
_cell_length_c 7.178
_cell_angle_alpha 90.00
_cell_angle_beta 90.00
_cell_angle_gamma 90.00
loop_
_space_group_symop_operation_xyz
'x,y,z'
loop_
_atom_site_label
_atom_site_type_symbol
_atom_site_fract_x
_atom_site_fract_y
_atom_site_fract_z
_atom_site_occupancy
Cl1 Cl 0.000 0.500 0.368 1
Cl2 Cl 0.500 0.000 0.632 1
Ac1 Ac 0.000 0.500 0.823 1
Ac2 Ac 0.500 0.000 0.177 1
O1 O 0.000 0.000 0.000 1
O2 O 0.500 0.500 0.000 1
```

=====

No. 8
## Sr2Bi2O5 (GGA-PBE)

Data for crystalline Sr2Bi2O5 at its relaxed geometry.

Computed properties:
Polymorph energy (0 for the lowest one) in meV/atom: 1
Formation energy from the elements in meV/atom: -2353
Space group: P2_1/m

The structure in CIF format:
```
data_Sr2Bi2O5
_chemical_formula_sum 'Sr4 Bi4 O10'
_space_group_name_H-M_alt 'P 1'
_space_group_IT_number 1
_cell_length_a 6.255
_cell_length_b 7.576
_cell_length_c 7.756
_cell_angle_alpha 75.29
_cell_angle_beta 90.00
_cell_angle_gamma 90.00
loop_
_space_group_symop_operation_xyz
'x,y,z'
loop_
_atom_site_label
_atom_site_type_symbol
_atom_site_fract_x
_atom_site_fract_y
_atom_site_fract_z
_atom_site_occupancy
O1 O 0.009 0.681 0.074 1
O2 O 0.008 0.676 0.587 1
O3 O 0.491 0.681 0.074 1
O4 O 0.508 0.324 0.413 1
O5 O 0.991 0.319 0.926 1
O6 O 0.509 0.319 0.926 1
O7 O 0.992 0.324 0.413 1
O8 O 0.250 0.986 0.753 1
O9 O 0.750 0.014 0.247 1
O10 O 0.492 0.676 0.587 1
Sr1 Sr 0.250 0.371 0.658 1
Sr2 Sr 0.750 0.607 0.849 1
Sr3 Sr 0.750 0.629 0.342 1
Sr4 Sr 0.250 0.393 0.151 1
Bi1 Bi 0.750 0.123 0.961 1
Bi2 Bi 0.250 0.877 0.039 1
Bi3 Bi 0.250 0.870 0.525 1
Bi4 Bi 0.750 0.130 0.475 1
```

=====

No. 9
## BiPPbO5 (GGA-PBE)

Data for crystalline BiPPbO5 at its relaxed geometry.

Computed properties:
Formation energy from the elements in meV/atom: -2226
Space group: P-1

The structure in CIF format:
```
data_BiPPbO5
_chemical_formula_sum 'Bi2 P2 Pb2 O10'
_space_group_name_H-M_alt 'P 1'
_space_group_IT_number 1
_cell_length_a 5.914
_cell_length_b 7.101
_cell_length_c 7.106
_cell_angle_alpha 107.15
_cell_angle_beta 109.09
_cell_angle_gamma 101.52
loop_
_space_group_symop_operation_xyz
'x,y,z'
loop_
_atom_site_label
_atom_site_type_symbol
_atom_site_fract_x
_atom_site_fract_y
_atom_site_fract_z
_atom_site_occupancy
P1 P 0.821 0.344 0.142 1
P2 P 0.179 0.656 0.858 1
O1 O 0.635 0.231 0.218 1
O2 O 0.935 0.583 0.285 1
O3 O 0.038 0.249 0.157 1
O4 O 0.742 0.002 0.527 1
O5 O 0.258 0.998 0.473 1
O6 O 0.658 0.311 0.905 1
O7 O 0.065 0.417 0.715 1
O8 O 0.342 0.689 0.095 1
O9 O 0.365 0.769 0.782 1
O10 O 0.962 0.751 0.843 1
Bi1 Bi 0.383 0.731 0.442 1
Bi2 Bi 0.617 0.269 0.558 1
Pb1 Pb 0.167 0.109 0.822 1
Pb2 Pb 0.833 0.891 0.178 1
```

=====

No. 10
## Sr2LiSi3 (GGA-PBE)

Data for crystalline Sr2LiSi3 at its relaxed geometry.

Computed properties:
Formation energy from the elements in meV/atom: -406
Space group: Fddd

The structure in CIF format:
```
data_Sr2LiSi3
_chemical_formula_sum 'Sr8 Li4 Si12'
_space_group_name_H-M_alt 'P 1'
_space_group_IT_number 1
_cell_length_a 11.761
_cell_length_b 10.076
_cell_length_c 8.557
_cell_angle_alpha 77.81
_cell_angle_beta 56.87
_cell_angle_gamma 45.33
loop_
_space_group_symop_operation_xyz
'x,y,z'
loop_
_atom_site_label
_atom_site_type_symbol
_atom_site_fract_x
_atom_site_fract_y
_atom_site_fract_z
_atom_site_occupancy
Si1 Si 0.426 0.069 0.914 1
Si2 Si 0.661 0.339 0.661 1
Si3 Si 0.069 0.426 0.592 1
Si4 Si 0.824 0.181 0.336 1
Si5 Si 0.589 0.911 0.589 1
Si6 Si 0.911 0.589 0.911 1
Si7 Si 0.592 0.914 0.069 1
Si8 Si 0.914 0.592 0.426 1
Si9 Si 0.658 0.336 0.181 1
Si10 Si 0.339 0.661 0.339 1
Si11 Si 0.336 0.658 0.824 1
Si12 Si 0.181 0.824 0.658 1
Sr1 Sr 0.876 0.876 0.124 1
Sr2 Sr 0.126 0.126 0.374 1
Sr3 Sr 0.376 0.376 0.624 1
Sr4 Sr 0.874 0.874 0.626 1
Sr5 Sr 0.626 0.626 0.874 1
Sr6 Sr 0.624 0.624 0.376 1
Sr7 Sr 0.374 0.374 0.126 1
Sr8 Sr 0.124 0.124 0.876 1
Li1 Li 0.417 0.083 0.417 1
Li2 Li 0.083 0.417 0.083 1
Li3 Li 0.833 0.167 0.833 1
Li4 Li 0.167 0.833 0.167 1
```

=====

No. 11
## CaSiO3 (GGA-PBE)

Data for crystalline CaSiO3 at its relaxed geometry.

Computed properties:
Formation energy from the elements in meV/atom: -3204
Space group: P4/mbm

The structure in CIF format:
```
data_CaSiO3
_chemical_formula_sum 'Ca2 Si2 O6'
_space_group_name_H-M_alt 'P 1'
_space_group_IT_number 1
_cell_length_a 5.093
_cell_length_b 5.093
_cell_length_c 3.624
_cell_angle_alpha 90.00
_cell_angle_beta 90.00
_cell_angle_gamma 90.00
loop_
_space_group_symop_operation_xyz
'x,y,z'
loop_
_atom_site_label
_atom_site_type_symbol
_atom_site_fract_x
_atom_site_fract_y
_atom_site_fract_z
_atom_site_occupancy
Si1 Si 0.000 0.000 0.000 1
Si2 Si 0.500 0.500 0.000 1
O1 O 0.267 0.767 0.000 1
O2 O 0.500 0.500 0.500 1
O3 O 0.767 0.733 0.000 1
O4 O 0.233 0.267 0.000 1
O5 O 0.733 0.233 0.000 1
O6 O 0.000 0.000 0.500 1
Ca1 Ca 0.000 0.500 0.500 1
Ca2 Ca 0.500 0.000 0.500 1
```

=====

No. 12
## Na2MgSb2O6 (GGA-PBE)

Data for crystalline Na2MgSb2O6 at its relaxed geometry.

Computed properties:
Polymorph energy (0 for the lowest one) in meV/atom: 90
Formation energy from the elements in meV/atom: -1966
Space group: R-3

The structure in CIF format:
```
data_Na2MgSb2O6
_chemical_formula_sum 'Na2 Mg1 Sb2 O6'
_space_group_name_H-M_alt 'P 1'
_space_group_IT_number 1
_cell_length_a 6.543
_cell_length_b 6.543
_cell_length_c 6.543
_cell_angle_alpha 50.57
_cell_angle_beta 50.57
_cell_angle_gamma 50.57
loop_
_space_group_symop_operation_xyz
'x,y,z'
loop_
_atom_site_label
_atom_site_type_symbol
_atom_site_fract_x
_atom_site_fract_y
_atom_site_fract_z
_atom_site_occupancy
O1 O 0.249 0.528 0.912 1
O2 O 0.088 0.751 0.472 1
O3 O 0.528 0.912 0.249 1
O4 O 0.751 0.472 0.088 1
O5 O 0.472 0.088 0.751 1
O6 O 0.912 0.249 0.528 1
Mg1 Mg 0.500 0.500 0.500 1
Na1 Na 0.333 0.333 0.333 1
Na2 Na 0.667 0.667 0.667 1
Sb1 Sb 0.153 0.153 0.153 1
Sb2 Sb 0.847 0.847 0.847 1
```